Entry 1:
# Si3As

A geometry-optimized Si3As structure (GGA-PBE, the Materials Project).

a = 4.510 Å, b = 4.510 Å, c = 4.510 Å
α = 60.00°, β = 60.00°, γ = 60.00°
Sites, in units of the cell vectors:
Si 0.250 0.250 0.250
Si 0.750 0.750 0.750
Si 0.500 0.500 0.500
As 0.000 0.000 0.000

Values from the calculation:
* polymorph energy (0 for the lowest one): 0.000 eV per atom
* M_tot: 0.0001 μB per atom
* crystal system: cubic
* space group: Fm-3m

***

Entry 2:
# Sr4SiAs4

A geometry-optimized Sr4SiAs4 structure (GGA-PBE, the Materials Project).

a = 12.863 Å, b = 12.863 Å, c = 12.863 Å
α = 90.00°, β = 90.00°, γ = 90.00°
Sites, in units of the cell vectors:
Sr 0.133 0.645 0.095
Sr 0.355 0.905 0.133
Sr 0.095 0.867 0.355
Sr 0.867 0.355 0.095
Sr 0.645 0.095 0.133
Sr 0.905 0.133 0.355
Sr 0.133 0.355 0.905
Sr 0.355 0.095 0.867
Sr 0.095 0.133 0.645
Sr 0.867 0.645 0.905
Sr 0.645 0.905 0.867
Sr 0.905 0.867 0.645
Sr 0.633 0.595 0.145
Sr 0.855 0.633 0.405
Sr 0.595 0.855 0.367
Sr 0.367 0.595 0.855
Sr 0.145 0.633 0.595
Sr 0.405 0.855 0.633
Sr 0.633 0.405 0.855
Sr 0.855 0.367 0.595
Sr 0.595 0.145 0.633
Sr 0.367 0.405 0.145
Sr 0.145 0.367 0.405
Sr 0.405 0.145 0.367
Sr 0.855 0.145 0.855
Sr 0.145 0.855 0.855
Sr 0.855 0.855 0.145
Sr 0.145 0.145 0.145
Sr 0.355 0.355 0.645
Sr 0.645 0.355 0.355
Sr 0.355 0.645 0.355
Sr 0.645 0.645 0.645
Si 0.000 0.500 0.250
Si 0.500 0.750 0.000
Si 0.250 0.000 0.500
Si 0.500 0.250 0.000
Si 0.750 0.000 0.500
Si 0.000 0.500 0.750
Si 0.500 0.500 0.500
Si 0.000 0.000 0.000
As 0.106 0.616 0.351
As 0.384 0.649 0.106
As 0.351 0.894 0.384
As 0.894 0.384 0.351
As 0.616 0.351 0.106
As 0.649 0.106 0.384
As 0.106 0.384 0.649
As 0.384 0.351 0.894
As 0.351 0.106 0.616
As 0.894 0.616 0.649
As 0.616 0.649 0.894
As 0.649 0.894 0.616
As 0.606 0.851 0.116
As 0.884 0.606 0.149
As 0.851 0.884 0.394
As 0.394 0.851 0.884
As 0.116 0.606 0.851
As 0.149 0.884 0.606
As 0.606 0.149 0.884
As 0.884 0.394 0.851
As 0.851 0.116 0.606
As 0.394 0.149 0.116
As 0.116 0.394 0.149
As 0.149 0.116 0.394
As 0.107 0.893 0.107
As 0.893 0.107 0.107
As 0.107 0.107 0.893
As 0.893 0.893 0.893
As 0.607 0.607 0.393
As 0.393 0.607 0.607
As 0.607 0.393 0.607
As 0.393 0.393 0.393

Values from the calculation:
* crystal system: cubic
* space group: P-43n

***

Entry 3:
# TaSiAs

A geometry-optimized TaSiAs structure (GGA-PBE, the Materials Project).

a = 3.521 Å, b = 3.521 Å, c = 7.914 Å
α = 90.00°, β = 90.00°, γ = 90.00°
Sites, in units of the cell vectors:
Ta 0.500 0.000 0.254
Ta 0.000 0.500 0.746
Si 0.000 0.000 0.000
Si 0.500 0.500 0.000
As 0.500 0.000 0.611
As 0.000 0.500 0.389

Values from the calculation:
* crystal system: tetragonal
* space group: P4/nmm

***

| no. | energy relative to the elements (meV per atom) | DFT total energy (eV per atom) |
| --- | --- | --- |
| 1 | 566 | -4.668 |
| 2 | -1019 | -4.443 |
| 3 | -512 | -7.826 |